Record 1
Density functional theory data (PBE) for an optimized crystal structure of NaCaScZnSi4O12.

Structure (POSCAR):
```
NaCaScZnSi4O12
1.0
9.107 0.000 0.000
0.000 5.361 0.000
0.000 2.558 9.558
Na Ca Sc Zn Si O
2 2 2 2 8 24
Direct
0.553 0.000 0.750
0.447 0.000 0.250
0.050 0.500 0.250
0.950 0.500 0.750
0.646 0.500 0.250
0.354 0.500 0.750
0.152 0.000 0.750
0.848 0.000 0.250
0.841 0.197 0.539
0.841 0.803 0.961
0.339 0.700 0.037
0.159 0.197 0.039
0.339 0.300 0.463
0.159 0.803 0.461
0.661 0.700 0.537
0.661 0.300 0.963
0.766 0.095 0.902
0.997 0.209 0.612
0.836 0.283 0.368
0.260 0.590 0.400
0.836 0.717 0.132
0.497 0.700 0.110
0.234 0.095 0.402
0.997 0.791 0.888
0.335 0.776 0.867
0.003 0.209 0.112
0.766 0.905 0.598
0.164 0.283 0.868
0.335 0.224 0.633
0.740 0.590 0.900
0.497 0.300 0.390
0.164 0.717 0.632
0.503 0.700 0.610
0.260 0.410 0.100
0.003 0.791 0.388
0.665 0.776 0.367
0.234 0.905 0.098
0.665 0.224 0.133
0.503 0.300 0.890
0.740 0.410 0.600
```

Mass density ... 3.4 Mg/m³
Crystal system ... monoclinic
SG ... P2/c, No. 13
Formation energy from the elements ... -3.176 eV per atom

---

Record 2
Density functional theory data (PBE) for an optimized crystal structure of NaCaScZnSi4O12.

Structure (POSCAR):
```
NaCaScZnSi4O12
1.0
-6.166 1.365 2.376
-2.936 -5.389 -2.806
-0.367 -3.360 4.150
Na Ca Sc Zn Si O
1 1 1 1 4 12
Direct
0.302 0.698 0.500
0.700 0.300 0.000
0.102 0.898 0.000
0.901 0.099 0.500
0.802 0.622 0.485
0.378 0.198 0.515
0.198 0.379 0.013
0.621 0.802 0.987
0.666 0.634 0.253
0.366 0.334 0.747
0.338 0.361 0.240
0.639 0.662 0.760
0.884 0.392 0.572
0.608 0.116 0.428
0.111 0.609 0.939
0.391 0.889 0.061
0.965 0.799 0.392
0.201 0.035 0.608
0.031 0.204 0.099
0.796 0.969 0.901
```

Mass density ... 3.4 Mg/m³
Crystal system ... monoclinic
SG ... C2, No. 5
Formation energy from the elements ... -3.176 eV per atom

---

Record 3
Density functional theory data (PBE) for an optimized crystal structure of NaCa9ScZn9Si20O60.

Structure (POSCAR):
```
NaCa9ScZn9Si20O60
1.0
4.495 4.998 0.000
-4.495 4.998 0.000
0.000 2.837 25.526
Na Ca Sc Zn Si O
1 9 1 9 20 60
Direct
0.253 0.747 0.000
0.748 0.459 0.899
0.452 0.947 0.800
0.949 0.651 0.700
0.651 0.149 0.600
0.149 0.851 0.500
0.851 0.349 0.400
0.349 0.051 0.300
0.053 0.548 0.200
0.541 0.252 0.101
0.864 0.136 0.000
0.152 0.049 0.900
0.058 0.345 0.801
0.344 0.257 0.700
0.257 0.544 0.600
0.544 0.456 0.500
0.456 0.743 0.400
0.743 0.656 0.300
0.655 0.942 0.199
0.951 0.848 0.100
0.242 0.536 0.897
0.668 0.950 0.903
0.532 0.448 0.797
0.956 0.867 0.803
0.446 0.733 0.697
0.867 0.154 0.704
0.733 0.646 0.597
0.154 0.067 0.603
0.646 0.933 0.497
0.067 0.354 0.503
0.933 0.846 0.397
0.354 0.267 0.403
0.846 0.133 0.296
0.267 0.554 0.303
0.133 0.044 0.197
0.552 0.468 0.203
0.050 0.332 0.097
0.464 0.758 0.103
0.336 0.251 0.996
0.749 0.664 0.004
0.374 0.430 0.948
0.131 0.745 0.915
0.098 0.377 0.880
0.815 0.103 0.922
0.457 0.050 0.884
0.427 0.574 0.849
0.772 0.828 0.851
0.743 0.348 0.817
0.381 0.297 0.779
0.102 0.022 0.821
0.059 0.656 0.784
0.571 0.630 0.749
0.830 0.970 0.751
0.345 0.944 0.716
0.298 0.580 0.679
0.020 0.303 0.722
0.656 0.255 0.684
0.630 0.771 0.649
0.971 0.030 0.651
0.944 0.545 0.616
0.580 0.497 0.579
0.303 0.220 0.621
0.255 0.856 0.584
0.771 0.829 0.549
0.029 0.171 0.551
0.545 0.144 0.516
0.497 0.780 0.479
0.220 0.503 0.521
0.856 0.455 0.484
0.829 0.971 0.449
0.171 0.229 0.451
0.144 0.745 0.416
0.780 0.697 0.379
0.503 0.420 0.421
0.455 0.056 0.384
0.970 0.029 0.349
0.229 0.370 0.351
0.745 0.344 0.316
0.697 0.980 0.278
0.420 0.702 0.321
0.056 0.655 0.284
0.030 0.170 0.249
0.370 0.429 0.251
0.344 0.941 0.216
0.978 0.898 0.179
0.703 0.619 0.221
0.652 0.257 0.183
0.172 0.228 0.149
0.426 0.573 0.151
0.950 0.543 0.116
0.897 0.185 0.078
0.623 0.902 0.120
0.255 0.869 0.085
0.234 0.364 0.050
0.570 0.626 0.052
0.551 0.152 0.014
0.178 0.105 0.979
0.895 0.822 0.021
0.848 0.449 0.986
0.636 0.766 0.950
```

Mass density ... 3.7 Mg/m³
Crystal system ... monoclinic
SG ... C2, No. 5
Formation energy from the elements ... -3.058 eV per atom

---

Record 4
Density functional theory data (PBE) for an optimized crystal structure of NaCa5ScZn5Si12O36.

Structure (POSCAR):
```
NaCa5ScZn5Si12O36
1.0
-1.661 -6.148 -2.161
-1.451 -2.496 6.075
-15.953 0.713 0.091
Na Ca Sc Zn Si O
1 5 1 5 12 36
Direct
0.699 0.301 0.000
0.303 0.697 0.831
0.699 0.297 0.665
0.299 0.701 0.500
0.703 0.301 0.335
0.303 0.697 0.169
0.084 0.916 0.000
0.894 0.104 0.833
0.094 0.904 0.668
0.909 0.091 0.500
0.096 0.906 0.332
0.896 0.106 0.167
0.809 0.617 0.830
0.378 0.199 0.837
0.623 0.803 0.662
0.191 0.381 0.671
0.807 0.619 0.495
0.381 0.193 0.505
0.619 0.809 0.329
0.197 0.377 0.338
0.801 0.622 0.163
0.383 0.191 0.170
0.617 0.801 0.995
0.199 0.383 0.005
0.629 0.669 0.916
0.902 0.390 0.857
0.972 0.795 0.800
0.209 0.028 0.869
0.607 0.113 0.806
0.672 0.628 0.750
0.330 0.370 0.749
0.392 0.885 0.693
0.794 0.970 0.632
0.027 0.207 0.701
0.109 0.611 0.640
0.632 0.667 0.584
0.368 0.332 0.583
0.889 0.388 0.525
0.974 0.791 0.465
0.209 0.026 0.535
0.612 0.111 0.475
0.668 0.632 0.417
0.333 0.368 0.416
0.389 0.891 0.360
0.793 0.973 0.299
0.030 0.206 0.368
0.115 0.608 0.307
0.630 0.670 0.251
0.372 0.328 0.250
0.887 0.393 0.194
0.972 0.791 0.131
0.205 0.028 0.200
0.610 0.098 0.143
0.663 0.637 0.086
0.331 0.371 0.084
0.383 0.881 0.024
0.792 0.965 0.965
0.035 0.208 0.035
0.119 0.617 0.976
0.363 0.337 0.914
```

Mass density ... 3.6 Mg/m³
Crystal system ... monoclinic
SG ... C2, No. 5
Formation energy from the elements ... -3.076 eV per atom

---

Record 5
Density functional theory data (PBE) for an optimized crystal structure of NaCaTbSeO6.

Structure (POSCAR):
```
NaCaTbSeO6
1.0
0.547 5.583 -0.808
2.161 1.962 -4.859
-3.346 2.666 -3.717
Na Ca Tb Se O
1 1 1 1 6
Direct
0.750 0.750 0.750
0.250 0.250 0.250
0.500 0.500 0.500
0.000 0.000 0.000
0.774 0.226 0.226
0.226 0.774 0.774
0.774 0.226 0.774
0.226 0.774 0.226
0.774 0.774 0.226
0.226 0.226 0.774
```

Mass density ... 5.1 Mg/m³
Crystal system ... cubic
SG ... F-43m, No. 216
Formation energy from the elements ... -2.386 eV per atom

---

Record 6
Density functional theory data (PBE) for an optimized crystal structure of Na2Ca3Si3O10.

Structure (POSCAR):
```
Na2Ca3Si3O10
1.0
2.599 8.231 0.000
-2.599 8.231 0.000
0.000 0.671 11.434
Na Ca Si O
4 6 6 20
Direct
0.813 0.275 0.034
0.275 0.813 0.534
0.725 0.187 0.466
0.187 0.725 0.966
0.388 0.917 0.793
0.917 0.388 0.293
0.500 0.000 0.500
0.083 0.612 0.707
0.612 0.083 0.207
0.000 0.500 0.000
0.203 0.797 0.250
0.797 0.203 0.750
0.463 0.840 0.104
0.840 0.463 0.604
0.537 0.160 0.896
0.160 0.537 0.396
0.844 0.844 0.891
0.297 0.421 0.526
0.007 0.079 0.849
0.921 0.993 0.651
0.345 0.519 0.313
0.703 0.579 0.474
0.655 0.481 0.687
0.421 0.297 0.026
0.579 0.703 0.974
0.156 0.156 0.609
0.079 0.007 0.349
0.762 0.692 0.662
0.156 0.156 0.109
0.844 0.844 0.391
0.481 0.655 0.187
0.308 0.238 0.838
0.692 0.762 0.162
0.993 0.921 0.151
0.519 0.345 0.813
0.238 0.308 0.338
```

Mass density ... 2.8 Mg/m³
Crystal system ... monoclinic
SG ... C2/c, No. 15
Formation energy from the elements ... -3.220 eV per atom

---

What is the formation energy from the elements in the third record? -3.058 eV per atom